TmO3 (PBE, relaxed); density = 6.06 Mg/m³; formation enthalpy at 0 K = -2.096 eV/atom; VASP energy = -6.4111 eV/atom
1.0
6.3935 0.0000 0.0000
-3.1968 5.5369 0.0000
0.0000 0.0000 3.3603
Tm O
2 6
Direct
0.3333 0.6667 0.2500
0.6667 0.3333 0.7500
0.0576 0.4220 0.7500
0.3644 0.9424 0.7500
0.4220 0.3644 0.2500
0.5780 0.6356 0.7500
0.6356 0.0576 0.2500
0.9424 0.5780 0.2500

Tm2O3 (PBE, relaxed); density = 9.79 Mg/m³; formation enthalpy at 0 K = -4.012 eV/atom; VASP energy = -8.3594 eV/atom
1.0
3.6088 0.0000 0.0000
-1.8044 3.1253 0.0000
0.0000 0.0000 5.8027
Tm O
2 3
Direct
0.3333 0.6667 0.2502
0.6667 0.3333 0.7498
0.0000 0.0000 0.0000
0.3333 0.6667 0.6458
0.6667 0.3333 0.3542

Tm2O3 (PBE, relaxed); density = 9.64 Mg/m³; formation enthalpy at 0 K = -4.042 eV/atom; VASP energy = -8.3885 eV/atom
1.0
6.9359 -1.7168 0.0000
6.9359 1.7168 0.0000
-1.5318 0.0000 8.3704
Tm O
6 9
Direct
0.0320 0.0320 0.3144
0.3083 0.3083 0.3627
0.3649 0.3649 0.0125
0.6351 0.6351 0.9875
0.6917 0.6917 0.6373
0.9680 0.9680 0.6856
0.1276 0.1276 0.7813
0.1744 0.1744 0.4689
0.2070 0.2070 0.1225
0.4702 0.4702 0.8427
0.5000 0.5000 0.5000
0.5298 0.5298 0.1573
0.7930 0.7930 0.8775
0.8256 0.8256 0.5311
0.8724 0.8724 0.2187

Tm2O3 (PBE, relaxed); density = 8.92 Mg/m³; formation enthalpy at 0 K = -4.093 eV/atom; VASP energy = -8.4397 eV/atom
1.0
-5.2377 5.2377 5.2377
5.2377 -5.2377 5.2377
5.2377 5.2377 -5.2377
Tm O
16 24
Direct
0.0000 0.0000 0.0000
0.0000 0.5000 0.5000
0.0332 0.7832 0.2500
0.2168 0.7500 0.9668
0.2500 0.0332 0.7832
0.2500 0.5332 0.2832
0.2832 0.2500 0.5332
0.4668 0.7168 0.7500
0.5000 0.0000 0.5000
0.5000 0.5000 0.0000
0.5332 0.2832 0.2500
0.7168 0.7500 0.4668
0.7500 0.4668 0.7168
0.7500 0.9668 0.2168
0.7832 0.2500 0.0332
0.9668 0.2168 0.7500
0.0112 0.4680 0.7390
0.0320 0.0432 0.2711
0.0432 0.2711 0.0320
0.2279 0.4568 0.4888
0.2289 0.2721 0.7610
0.2390 0.7711 0.7279
0.2610 0.9888 0.5320
0.2711 0.0320 0.0432
0.2721 0.7610 0.2289
0.4568 0.4888 0.2279
0.4680 0.7390 0.0112
0.4888 0.2279 0.4568
0.5112 0.7721 0.5432
0.5320 0.2610 0.9888
0.5432 0.5112 0.7721
0.7279 0.2390 0.7711
0.7289 0.9680 0.9568
0.7390 0.0112 0.4680
0.7610 0.2289 0.2721
0.7711 0.7279 0.2390
0.7721 0.5432 0.5112
0.9568 0.7289 0.9680
0.9680 0.9568 0.7289
0.9888 0.5320 0.2610

YTmO3 (PBE, relaxed); density = 6.80 Mg/m³; formation enthalpy at 0 K = -3.956 eV/atom; VASP energy = -8.7006 eV/atom; maximum piezoelectric response = 0.59 C/m²
1.0
6.3838 0.0000 0.0000
-3.1919 5.5285 0.0000
0.0000 0.0000 12.6997
Y Tm O
6 6 18
Direct
0.0000 0.0000 0.0000
0.0000 0.0000 0.5000
0.3333 0.6667 0.4667
0.3333 0.6667 0.9667
0.6667 0.3333 0.4667
0.6667 0.3333 0.9667
0.0000 0.3333 0.2312
0.0000 0.6667 0.7312
0.3333 0.0000 0.2312
0.3333 0.3333 0.7312
0.6667 0.0000 0.7312
0.6667 0.6667 0.2312
0.0000 0.0000 0.2005
0.0000 0.0000 0.7005
0.0000 0.3075 0.4033
0.0000 0.3607 0.0602
0.0000 0.6393 0.5602
0.0000 0.6925 0.9033
0.3075 0.0000 0.4033
0.3075 0.3075 0.9033
0.3333 0.6667 0.2565
0.3333 0.6667 0.7565
0.3607 0.0000 0.0602
0.3607 0.3607 0.5602
0.6393 0.0000 0.5602
0.6393 0.6393 0.0602
0.6667 0.3333 0.2565
0.6667 0.3333 0.7565
0.6925 0.0000 0.9033
0.6925 0.6925 0.4033

Y11Tm5O24 (PBE, relaxed); density = 6.11 Mg/m³; formation enthalpy at 0 K = -4.006 eV/atom; VASP energy = -8.9004 eV/atom
1.0
9.1980 0.0000 0.0000
-3.0600 8.6742 0.0000
-3.0645 -4.3301 7.5147
Y Tm O
11 5 24
Direct
0.0000 0.0000 0.0000
0.9995 0.4981 0.4960
0.2496 0.7806 0.0325
0.2820 0.0313 0.7471
0.4673 0.2501 0.2167
0.4992 0.9973 0.4987
0.5013 0.4986 0.9989
0.5321 0.7483 0.7787
0.7193 0.9657 0.2489
0.7823 0.5313 0.7487
0.9679 0.2479 0.7166
0.0328 0.7478 0.2818
0.2163 0.4657 0.2489
0.2496 0.2812 0.5303
0.7498 0.7148 0.4642
0.7513 0.2174 0.9665
0.0127 0.2418 0.9709
0.0289 0.7690 0.5376
0.0425 0.5302 0.7687
0.2276 0.9876 0.9559
0.2304 0.2602 0.7689
0.2390 0.2298 0.2720
0.2564 0.0294 0.4830
0.2691 0.7252 0.2607
0.2702 0.5390 0.5264
0.4582 0.7270 0.9874
0.4682 0.5131 0.2408
0.4908 0.9586 0.7285
0.5121 0.0418 0.2716
0.5277 0.4841 0.7545
0.5461 0.2708 0.0104
0.7286 0.2690 0.7408
0.7296 0.4586 0.4664
0.7397 0.9639 0.5095
0.7618 0.7709 0.7252
0.7709 0.0130 0.0401
0.7733 0.7366 0.2286
0.9573 0.4672 0.2243
0.9719 0.2276 0.4561
0.9878 0.7594 0.0333

YTmO3 (PBE, relaxed); density = 6.85 Mg/m³; formation enthalpy at 0 K = -4.029 eV/atom; VASP energy = -8.7736 eV/atom
1.0
7.4831 -5.2923 0.0000
7.4831 5.2923 0.0000
-7.4823 0.0000 7.4840
Y Tm O
8 8 24
Direct
0.0000 0.0000 0.0000
0.0321 0.4662 0.7484
0.0346 0.4684 0.2531
0.2833 0.2171 0.0324
0.5005 0.4995 0.0000
0.5316 0.9654 0.7469
0.5338 0.9679 0.2516
0.7829 0.7167 0.9676
0.0657 0.9343 0.5000
0.2510 0.6851 0.2190
0.2828 0.2167 0.5325
0.3149 0.7490 0.7810
0.5662 0.4338 0.5000
0.7488 0.1829 0.7149
0.7833 0.7172 0.4675
0.8171 0.2512 0.2851
0.0218 0.1934 0.5082
0.0469 0.7378 0.9926
0.0638 0.6989 0.5242
0.0768 0.2283 0.2850
0.2610 0.4977 0.7347
0.2622 0.9531 0.0074
0.2715 0.4268 0.9797
0.2910 0.0070 0.7779
0.3011 0.9362 0.4758
0.3072 0.4810 0.2955
0.4893 0.2092 0.4800
0.5023 0.7390 0.2653
0.5190 0.6928 0.7045
0.5440 0.2371 0.7894
0.5682 0.1980 0.2428
0.5732 0.7285 0.0203
0.7600 0.0023 0.0233
0.7629 0.4560 0.2106
0.7717 0.9232 0.7150
0.7908 0.5107 0.5200
0.8020 0.4318 0.7572
0.8066 0.9782 0.4918
0.9930 0.7090 0.2221
0.9977 0.2400 0.9767

Y5Tm11O24 (PBE, relaxed); density = 7.61 Mg/m³; formation enthalpy at 0 K = -4.052 eV/atom; VASP energy = -8.6476 eV/atom
1.0
7.4547 -5.2736 0.0000
7.4547 5.2736 0.0000
-7.4543 0.0000 7.4612
Y Tm O
5 11 24
Direct
0.0000 0.0000 0.0000
0.4666 0.0321 0.7489
0.4689 0.0321 0.2505
0.9679 0.5311 0.7495
0.9679 0.5334 0.2511
0.1854 0.7486 0.2174
0.2185 0.2824 0.9673
0.2183 0.2830 0.4685
0.2514 0.8146 0.7826
0.4352 0.5648 0.5000
0.5007 0.4993 0.0000
0.6846 0.2500 0.7168
0.7170 0.7817 0.5315
0.7176 0.7815 0.0327
0.7500 0.3154 0.2832
0.9354 0.0646 0.5000
0.0109 0.2896 0.5197
0.1942 0.0203 0.7066
0.1993 0.5638 0.5238
0.2098 0.4886 0.2183
0.2297 0.0753 0.0201
0.2398 0.0012 0.2651
0.2416 0.5439 0.9922
0.4244 0.2751 0.7189
0.4362 0.8007 0.4762
0.4561 0.7584 0.0078
0.4797 0.3057 0.4921
0.4996 0.2624 0.0233
0.5114 0.7902 0.7817
0.6943 0.5203 0.5079
0.6988 0.0633 0.2383
0.7104 0.9891 0.4803
0.7249 0.5756 0.2811
0.7379 0.0439 0.7896
0.7376 0.5004 0.9767
0.9247 0.7703 0.9799
0.9367 0.3012 0.7617
0.9561 0.2621 0.2104
0.9797 0.8058 0.2934
0.9988 0.7602 0.7349

Y15TmO24 (PBE, relaxed); density = 5.13 Mg/m³; formation enthalpy at 0 K = -3.977 eV/atom; VASP energy = -9.0705 eV/atom
1.0
7.5577 -5.3468 0.0000
7.5577 5.3468 0.0000
-7.5557 0.0000 7.5628
Y Tm O
15 1 24
Direct
0.0001 0.9999 0.0000
0.1843 0.2503 0.9676
0.2173 0.7827 0.2505
0.2173 0.7827 0.7495
0.2504 0.3167 0.5330
0.4669 0.0323 0.7825
0.4669 0.0339 0.2834
0.5000 0.5000 0.0000
0.6833 0.7496 0.4670
0.7164 0.2833 0.2502
0.7167 0.2836 0.7498
0.7497 0.8157 0.0324
0.9339 0.0661 0.5000
0.9661 0.5331 0.7166
0.9677 0.5331 0.2175
0.4333 0.5667 0.5000
0.1768 0.5447 0.4795
0.1850 0.0112 0.7074
0.2063 0.0539 0.2822
0.2306 0.5122 0.2214
0.2488 0.5550 0.7927
0.2599 0.0217 0.0207
0.4450 0.7512 0.2073
0.4461 0.2938 0.0219
0.4553 0.8232 0.5205
0.4781 0.2399 0.7387
0.4885 0.3184 0.5110
0.4878 0.7694 0.7786
0.6741 0.0440 0.2389
0.6816 0.5115 0.4890
0.7062 0.5539 0.9781
0.7275 0.0125 0.5220
0.7488 0.0551 0.0112
0.7601 0.5219 0.2613
0.9449 0.2512 0.9888
0.9461 0.7937 0.7178
0.9560 0.3259 0.7611
0.9783 0.7401 0.9793
0.9875 0.2725 0.4780
0.9888 0.8150 0.2926

YTmO3 (PBE, relaxed); density = 7.29 Mg/m³; formation enthalpy at 0 K = -3.943 eV/atom; VASP energy = -8.6882 eV/atom
1.0
5.9227 0.0000 0.0000
0.0000 8.3053 0.0000
0.0000 0.0000 5.6643
Y Tm O
4 4 12
Direct
0.0530 0.2500 0.0154
0.4470 0.7500 0.5154
0.5530 0.2500 0.4846
0.9470 0.7500 0.9846
0.0000 0.0000 0.5000
0.0000 0.5000 0.5000
0.5000 0.0000 0.0000
0.5000 0.5000 0.0000
0.0776 0.7500 0.3551
0.1861 0.5751 0.8172
0.1861 0.9249 0.8172
0.3139 0.0751 0.3172
0.3139 0.4249 0.3172
0.4224 0.2500 0.8551
0.5776 0.7500 0.1449
0.6861 0.5751 0.6828
0.6861 0.9249 0.6828
0.8139 0.0751 0.1828
0.8139 0.4249 0.1828
0.9224 0.2500 0.6449

Y13Tm3O24 (PBE, relaxed); density = 5.59 Mg/m³; formation enthalpy at 0 K = -3.992 eV/atom; VASP energy = -8.9855 eV/atom
1.0
9.2358 0.0000 0.0000
-3.0732 8.7151 0.0000
-3.0781 -4.3545 7.5510
Y Tm O
13 3 24
Direct
0.0000 0.0000 0.0000
0.9997 0.4985 0.5008
0.0337 0.7151 0.2497
0.2168 0.1835 0.4675
0.2490 0.9661 0.7172
0.2820 0.7474 0.9669
0.4662 0.2166 0.1847
0.4992 0.4320 0.9332
0.5007 0.9327 0.4344
0.5333 0.7145 0.7498
0.7158 0.6819 0.4677
0.7504 0.9664 0.2182
0.7850 0.2504 0.9663
0.2496 0.4656 0.2158
0.7504 0.4652 0.7171
0.9660 0.2171 0.6839
0.0146 0.4549 0.2498
0.0180 0.4956 0.7596
0.0246 0.2309 0.9453
0.2073 0.9555 0.9459
0.2145 0.2051 0.7273
0.2404 0.6909 0.1746
0.2589 0.2411 0.2596
0.2818 0.7267 0.7070
0.2931 0.9766 0.4893
0.4748 0.7006 0.4852
0.4822 0.4321 0.6742
0.4857 0.4763 0.1845
0.5117 0.6949 0.9890
0.5209 0.0078 0.2274
0.5213 0.1948 0.9560
0.7098 0.1980 0.6839
0.7167 0.4227 0.4490
0.7398 0.9986 0.9780
0.7636 0.9372 0.4607
0.7832 0.5089 0.9853
0.7932 0.7337 0.7502
0.9781 0.7365 0.4775
0.9790 0.9238 0.2070
0.9878 0.2367 0.4484

Tm4Zr3O12 (PBE, relaxed); density = 7.60 Mg/m³; formation enthalpy at 0 K = -3.980 eV/atom; VASP energy = -8.9631 eV/atom
1.0
6.3761 0.0000 0.0000
-1.0405 6.3187 0.0000
-2.0874 -2.4020 12.3777
Tm Zr O
8 6 24
Direct
0.1096 0.1375 0.4035
0.1875 0.3909 0.6808
0.1978 0.3897 0.1807
0.3597 0.6898 0.9462
0.6403 0.3102 0.0538
0.8022 0.6103 0.8193
0.8125 0.6091 0.3192
0.8904 0.8625 0.5965
0.1101 0.1430 0.9060
0.3567 0.6813 0.4451
0.4936 0.9939 0.7481
0.5064 0.0061 0.2519
0.6433 0.3187 0.5549
0.8899 0.8570 0.0940
0.0699 0.8282 0.9631
0.0750 0.4185 0.8412
0.0863 0.8196 0.4628
0.0911 0.4331 0.3415
0.1792 0.0571 0.7127
0.1805 0.0430 0.2044
0.3161 0.4093 0.0317
0.3256 0.4247 0.5346
0.4219 0.6885 0.2884
0.4226 0.6803 0.7778
0.4287 0.0800 0.9076
0.4573 0.0958 0.4117
0.5427 0.9042 0.5883
0.5713 0.9200 0.0924
0.5774 0.3197 0.2222
0.5781 0.3115 0.7116
0.6744 0.5753 0.4654
0.6839 0.5907 0.9683
0.8195 0.9570 0.7956
0.8208 0.9429 0.2873
0.9089 0.5669 0.6585
0.9137 0.1804 0.5372
0.9250 0.5815 0.1588
0.9301 0.1718 0.0369